A plane-wave DFT calculation with PBE was carried out for crystalline K2SbF5 at its relaxed geometry.

Computed properties:
theoretical density: 3.28 g cm⁻³
uncorrected energy: -4.6203 eV per atom

Cell lengths 7.725, 7.725, 6.635 Å; angles 90.00, 90.00, 131.05 degrees
Fractional coordinates of all 16 atoms:
K1 0.072 0.928 0.750
K2 0.252 0.748 0.250
K3 0.748 0.252 0.750
K4 0.928 0.072 0.250
Sb1 0.407 0.593 0.750
Sb2 0.593 0.407 0.250
F1 0.147 0.386 0.531
F2 0.147 0.386 0.969
F3 0.265 0.735 0.750
F4 0.386 0.147 0.031
F5 0.386 0.147 0.469
F6 0.614 0.853 0.531
F7 0.614 0.853 0.969
F8 0.735 0.265 0.250
F9 0.853 0.614 0.031
F10 0.853 0.614 0.469